Entry 1:
Compound: Tl2I3O9
Source: the Materials Project
Functional: r²SCAN
Structure: optimized geometry

Computed properties:
Calculated formation energy = -0.534 eV per atom

CIF file:
```
data_Tl2I3O9
_cell_length_a 7.097
_cell_length_b 7.120
_cell_length_c 10.615
_cell_angle_alpha 87.49
_cell_angle_beta 107.42
_cell_angle_gamma 107.98
_symmetry_space_group_name_H-M 'P 1'
_symmetry_Int_Tables_number 1
loop_
_symmetry_equiv_pos_as_xyz
'x,y,z'
loop_
_atom_site_label
_atom_site_type_symbol
_atom_site_fract_x
_atom_site_fract_y
_atom_site_fract_z
Tl1 Tl 0.000 0.500 0.000
Tl2 Tl 0.163 0.463 0.402
Tl3 Tl 0.837 0.537 0.598
Tl4 Tl 0.500 0.000 0.000
I1 I 0.410 0.051 0.630
I2 I 0.590 0.949 0.370
I3 I 0.447 0.533 0.808
I4 I 0.553 0.467 0.192
I5 I 0.037 0.975 0.190
I6 I 0.963 0.025 0.810
O1 O 0.339 0.940 0.391
O2 O 0.661 0.060 0.609
O3 O 0.586 0.699 0.412
O4 O 0.414 0.301 0.588
O5 O 0.920 0.710 0.184
O6 O 0.080 0.290 0.816
O7 O 0.958 0.049 0.322
O8 O 0.042 0.951 0.678
O9 O 0.285 0.354 0.188
O10 O 0.715 0.646 0.812
O11 O 0.678 0.338 0.325
O12 O 0.322 0.662 0.675
O13 O 0.565 0.329 0.052
O14 O 0.435 0.671 0.948
O15 O 0.844 0.046 0.050
O16 O 0.156 0.954 0.950
O17 O 0.466 0.881 0.191
O18 O 0.534 0.119 0.809
```

=====

Entry 2:
Compound: PaTiTc2
Source: the Materials Project
Functional: r²SCAN
Structure: optimized geometry

Computed properties:
Calculated formation energy = -0.362 eV per atom

CIF file:
```
data_PaTiTc2
_cell_length_a 4.620
_cell_length_b 4.620
_cell_length_c 4.620
_cell_angle_alpha 60.00
_cell_angle_beta 60.00
_cell_angle_gamma 60.00
_symmetry_space_group_name_H-M 'P 1'
_symmetry_Int_Tables_number 1
loop_
_symmetry_equiv_pos_as_xyz
'x,y,z'
loop_
_atom_site_label
_atom_site_type_symbol
_atom_site_fract_x
_atom_site_fract_y
_atom_site_fract_z
Pa1 Pa 0.250 0.250 0.250
Ti1 Ti 0.750 0.750 0.750
Tc1 Tc 0.500 0.500 0.500
Tc2 Tc 0.000 0.000 0.000
```

=====

Entry 3:
Compound: CaIn2Rh
Source: the Materials Project
Functional: r²SCAN
Structure: optimized geometry

Computed properties:
Calculated formation energy = -0.626 eV per atom

CIF file:
```
data_CaIn2Rh
_cell_length_a 5.733
_cell_length_b 7.832
_cell_length_c 15.946
_cell_angle_alpha 90.00
_cell_angle_beta 90.00
_cell_angle_gamma 90.00
_symmetry_space_group_name_H-M 'P 1'
_symmetry_Int_Tables_number 1
loop_
_symmetry_equiv_pos_as_xyz
'x,y,z'
loop_
_atom_site_label
_atom_site_type_symbol
_atom_site_fract_x
_atom_site_fract_y
_atom_site_fract_z
Ca1 Ca 0.753 0.750 0.897
Ca2 Ca 0.247 0.250 0.103
Ca3 Ca 0.253 0.250 0.603
Ca4 Ca 0.747 0.750 0.397
Ca5 Ca 0.043 0.750 0.638
Ca6 Ca 0.957 0.250 0.362
Ca7 Ca 0.543 0.250 0.862
Ca8 Ca 0.457 0.750 0.138
In1 In 0.542 0.551 0.712
In2 In 0.458 0.449 0.288
In3 In 0.042 0.449 0.788
In4 In 0.458 0.051 0.288
In5 In 0.958 0.551 0.212
In6 In 0.542 0.949 0.712
In7 In 0.958 0.949 0.212
In8 In 0.042 0.051 0.788
In9 In 0.747 0.055 0.539
In10 In 0.253 0.945 0.461
In11 In 0.247 0.945 0.961
In12 In 0.253 0.555 0.461
In13 In 0.753 0.055 0.039
In14 In 0.747 0.445 0.539
In15 In 0.753 0.445 0.039
In16 In 0.247 0.555 0.961
Rh1 Rh 0.275 0.750 0.814
Rh2 Rh 0.725 0.250 0.186
Rh3 Rh 0.775 0.250 0.686
Rh4 Rh 0.225 0.750 0.314
Rh5 Rh 0.519 0.750 0.571
Rh6 Rh 0.481 0.250 0.429
Rh7 Rh 0.019 0.250 0.929
Rh8 Rh 0.981 0.750 0.071
```

=====

Entry 4:
Compound: Pr12C6I17
Source: the Materials Project
Functional: r²SCAN
Structure: optimized geometry

Computed properties:
Calculated formation energy = -1.355 eV per atom

CIF file:
```
data_Pr12C6I17
_cell_length_a 11.910
_cell_length_b 11.910
_cell_length_c 19.446
_cell_angle_alpha 89.24
_cell_angle_beta 89.24
_cell_angle_gamma 64.19
_symmetry_space_group_name_H-M 'P 1'
_symmetry_Int_Tables_number 1
loop_
_symmetry_equiv_pos_as_xyz
'x,y,z'
loop_
_atom_site_label
_atom_site_type_symbol
_atom_site_fract_x
_atom_site_fract_y
_atom_site_fract_z
Pr1 Pr 0.713 0.295 0.021
Pr2 Pr 0.705 0.287 0.479
Pr3 Pr 0.287 0.705 0.979
Pr4 Pr 0.295 0.713 0.521
Pr5 Pr 0.534 0.550 0.128
Pr6 Pr 0.450 0.466 0.372
Pr7 Pr 0.466 0.450 0.872
Pr8 Pr 0.550 0.534 0.628
Pr9 Pr 0.901 0.426 0.116
Pr10 Pr 0.574 0.099 0.384
Pr11 Pr 0.099 0.574 0.884
Pr12 Pr 0.426 0.901 0.616
Pr13 Pr 0.642 0.643 0.949
Pr14 Pr 0.357 0.358 0.551
Pr15 Pr 0.358 0.357 0.051
Pr16 Pr 0.643 0.642 0.449
Pr17 Pr 0.021 0.076 0.152
Pr18 Pr 0.924 0.979 0.348
Pr19 Pr 0.979 0.924 0.848
Pr20 Pr 0.076 0.021 0.652
Pr21 Pr 0.808 0.339 0.288
Pr22 Pr 0.661 0.192 0.212
Pr23 Pr 0.192 0.661 0.712
Pr24 Pr 0.339 0.808 0.788
C1 C 0.722 0.367 0.149
C2 C 0.633 0.278 0.351
C3 C 0.278 0.633 0.851
C4 C 0.367 0.722 0.649
C5 C 0.832 0.257 0.152
C6 C 0.743 0.168 0.348
C7 C 0.168 0.743 0.848
C8 C 0.257 0.832 0.652
C9 C 0.533 0.532 0.988
C10 C 0.468 0.467 0.512
C11 C 0.467 0.468 0.012
C12 C 0.532 0.533 0.488
I1 I 0.184 0.210 0.100
I2 I 0.790 0.816 0.400
I3 I 0.816 0.790 0.900
I4 I 0.210 0.184 0.600
I5 I 0.282 0.807 0.139
I6 I 0.193 0.718 0.361
I7 I 0.718 0.193 0.861
I8 I 0.807 0.282 0.639
I9 I 0.000 0.000 0.000
I10 I 0.000 0.000 0.500
I11 I 0.898 0.396 0.440
I12 I 0.604 0.102 0.060
I13 I 0.102 0.604 0.560
I14 I 0.396 0.898 0.940
I15 I 0.398 0.908 0.450
I16 I 0.092 0.602 0.050
I17 I 0.602 0.092 0.550
I18 I 0.908 0.398 0.950
I19 I 0.966 0.503 0.254
I20 I 0.497 0.034 0.246
I21 I 0.034 0.497 0.746
I22 I 0.503 0.966 0.754
I23 I 0.096 0.113 0.303
I24 I 0.887 0.904 0.197
I25 I 0.904 0.887 0.697
I26 I 0.113 0.096 0.803
I27 I 0.689 0.713 0.100
I28 I 0.287 0.311 0.400
I29 I 0.311 0.287 0.900
I30 I 0.713 0.689 0.600
I31 I 0.575 0.628 0.291
I32 I 0.372 0.425 0.209
I33 I 0.425 0.372 0.709
I34 I 0.628 0.575 0.791
```

=====

Entry 5:
Compound: LaNi5P3
Source: the Materials Project
Functional: r²SCAN
Structure: optimized geometry

Computed properties:
Calculated formation energy = -0.851 eV per atom

CIF file:
```
data_LaNi5P3
_cell_length_a 6.085
_cell_length_b 6.085
_cell_length_c 11.452
_cell_angle_alpha 90.00
_cell_angle_beta 90.00
_cell_angle_gamma 145.45
_symmetry_space_group_name_H-M 'P 1'
_symmetry_Int_Tables_number 1
loop_
_symmetry_equiv_pos_as_xyz
'x,y,z'
loop_
_atom_site_label
_atom_site_type_symbol
_atom_site_fract_x
_atom_site_fract_y
_atom_site_fract_z
La1 La 0.338 0.662 0.250
La2 La 0.662 0.338 0.750
Ni1 Ni 0.051 0.949 0.145
Ni2 Ni 0.051 0.949 0.355
Ni3 Ni 0.698 0.302 0.432
Ni4 Ni 0.302 0.698 0.568
Ni5 Ni 0.302 0.698 0.932
Ni6 Ni 0.698 0.302 0.068
Ni7 Ni 0.500 0.500 0.500
Ni8 Ni 0.500 0.500 0.000
Ni9 Ni 0.949 0.051 0.645
Ni10 Ni 0.949 0.051 0.855
P1 P 0.616 0.384 0.250
P2 P 0.384 0.616 0.750
P3 P 0.118 0.882 0.538
P4 P 0.882 0.118 0.462
P5 P 0.882 0.118 0.038
P6 P 0.118 0.882 0.962
```

=====

Entry 6:
Compound: Li2CuSb
Source: the Materials Project
Functional: r²SCAN
Structure: optimized geometry

Computed properties:
Calculated formation energy = -0.486 eV per atom

CIF file:
```
data_Li2CuSb
_cell_length_a 4.449
_cell_length_b 4.449
_cell_length_c 4.449
_cell_angle_alpha 60.00
_cell_angle_beta 60.00
_cell_angle_gamma 60.00
_symmetry_space_group_name_H-M 'P 1'
_symmetry_Int_Tables_number 1
loop_
_symmetry_equiv_pos_as_xyz
'x,y,z'
loop_
_atom_site_label
_atom_site_type_symbol
_atom_site_fract_x
_atom_site_fract_y
_atom_site_fract_z
Li1 Li 0.250 0.250 0.250
Li2 Li 0.500 0.500 0.500
Cu1 Cu 0.000 0.000 0.000
Sb1 Sb 0.750 0.750 0.750
```

=====

Entry 7:
Compound: Er2Si5Ru3
Source: the Materials Project
Functional: r²SCAN
Structure: optimized geometry

Computed properties:
Calculated formation energy = -0.886 eV per atom

CIF file:
```
data_Er2Si5Ru3
_cell_length_a 8.184
_cell_length_b 8.184
_cell_length_c 8.184
_cell_angle_alpha 140.38
_cell_angle_beta 108.66
_cell_angle_gamma 84.82
_symmetry_space_group_name_H-M 'P 1'
_symmetry_Int_Tables_number 1
loop_
_symmetry_equiv_pos_as_xyz
'x,y,z'
loop_
_atom_site_label
_atom_site_type_symbol
_atom_site_fract_x
_atom_site_fract_y
_atom_site_fract_z
Er1 Er 0.904 0.136 0.768
Er2 Er 0.096 0.864 0.232
Er3 Er 0.632 0.364 0.268
Er4 Er 0.368 0.636 0.732
Si1 Si 0.000 0.750 0.750
Si2 Si 0.000 0.250 0.250
Si3 Si 0.708 0.458 0.750
Si4 Si 0.292 0.042 0.750
Si5 Si 0.292 0.542 0.250
Si6 Si 0.708 0.958 0.250
Si7 Si 0.235 0.404 0.831
Si8 Si 0.573 0.904 0.669
Si9 Si 0.427 0.096 0.331
Si10 Si 0.765 0.596 0.169
Ru1 Ru 0.761 0.854 0.907
Ru2 Ru 0.500 0.250 0.750
Ru3 Ru 0.946 0.354 0.593
Ru4 Ru 0.054 0.646 0.407
Ru5 Ru 0.239 0.146 0.093
Ru6 Ru 0.500 0.750 0.250
```

=====

Entry 8:
Compound: He
Source: the Materials Project
Functional: r²SCAN
Structure: optimized geometry

Computed properties:
E above lowest polymorph = 4 meV per atom
Calculated formation energy = 0.004 eV per atom

CIF file:
```
data_He
_cell_length_a 2.828
_cell_length_b 2.828
_cell_length_c 2.694
_cell_angle_alpha 90.00
_cell_angle_beta 90.00
_cell_angle_gamma 120.00
_symmetry_space_group_name_H-M 'P 1'
_symmetry_Int_Tables_number 1
loop_
_symmetry_equiv_pos_as_xyz
'x,y,z'
loop_
_atom_site_label
_atom_site_type_symbol
_atom_site_fract_x
_atom_site_fract_y
_atom_site_fract_z
He1 He 0.000 0.000 0.000
```

=====

The raw total energy results, record by record, are as follows: -482.5, -143.2, -630.7, -1754.9, -248.6, -43.3, -393.7, -0.3 eV/cell.